1.
DFT (r2SCAN) results for a geometry-optimized Cs7NbIn3As5 structure.

Cell: 8.937 9.771 14.995 Å, 85.37 85.51 85.99°
Space group P-1 (No. 2)
Symmetry-distinct sites (fractional):
Cs: 0.170 0.134 0.356 (multiplicity 2)
Cs: 0.188 0.685 0.869 (multiplicity 2)
Cs: 0.239 0.509 0.468 (multiplicity 2)
Cs: 0.255 0.996 0.025 (multiplicity 2)
Cs: 0.270 0.752 0.253 (multiplicity 2)
Cs: 0.312 0.421 0.112 (multiplicity 2)
Cs: 0.317 0.839 0.600 (multiplicity 2)
Nb: 0.354 0.106 0.772 (multiplicity 2)
In: 0.065 0.311 0.867 (multiplicity 2)
In: 0.093 0.222 0.625 (multiplicity 2)
In: 0.364 0.449 0.703 (multiplicity 2)
As: 0.042 0.488 0.702 (multiplicity 2)
As: 0.084 0.050 0.788 (multiplicity 2)
As: 0.379 0.299 0.873 (multiplicity 2)
As: 0.409 0.204 0.612 (multiplicity 2)
As: 0.487 0.097 0.192 (multiplicity 2)

---

2.
DFT (r2SCAN) results for a geometry-optimized Tm5In4Pt2 structure.

Cell: 7.991 17.981 3.567 Å, 90.00 90.00 90.00°
Space group Pbam (No. 55)
Symmetry-distinct sites (fractional):
Tm: 0.000 0.000 0.000 (multiplicity 2)
Tm: 0.116 0.416 0.000 (multiplicity 4)
Tm: 0.244 0.220 0.000 (multiplicity 4)
In: 0.076 0.852 0.500 (multiplicity 4)
In: 0.210 0.567 0.500 (multiplicity 4)
Pt: 0.028 0.304 0.500 (multiplicity 4)

---

3.
DFT (r2SCAN) results for a geometry-optimized Pr2Co17 structure.

Cell: 8.3777 8.3777 12.1916 Å, 90.00 90.00 120.00°
Space group R-3m (No. 166, hexagonal axes)
Symmetry-distinct sites (fractional):
Pr: 0.0000 0.0000 0.1562 (multiplicity 6)
Co: 0.0000 0.0000 0.4063 (multiplicity 6)
Co: 0.0000 0.2838 0.5000 (multiplicity 18)
Co: 0.0000 0.5000 0.0000 (multiplicity 9)
Co: 0.0060 0.5030 0.3411 (multiplicity 18)

---

4.
DFT (r2SCAN) results for a geometry-optimized HoAsO4 structure.

Cell: 7.028 7.028 6.287 Å, 90.00 90.00 90.00°
Space group I4_1/amd (No. 141, origin choice 2)
Symmetry-distinct sites (fractional):
Ho: 0.000 0.250 0.375 (multiplicity 4)
As: 0.000 0.250 0.875 (multiplicity 4)
O: 0.000 0.068 0.699 (multiplicity 16)

---

Computed calculated total energy, in the same sequence as the records: -21.979; -34.496; -14.938; -14.560 eV/atom.